The following is a DFT calculation (PBE) of SrGa2Te4 after structural relaxation.

- largest piezoelectric modulus (C/m²) = 0.09
- mass density (g/cm³) = 5.14
- SG = I422
- E_tot (eV/cell) = -25.5
- V (Å³/atom) = 34.06
- formation enthalpy at 0 K (meV/atom) = -976

abc: 6.834 6.834 6.834
angles: 104.13 104.13 120.79
Element x y z (fractional)
1 Sr 0.000 0.000 0.000
2 Ga 0.000 0.500 0.500
3 Ga 0.500 0.000 0.500
4 Te 0.076 0.576 0.151
5 Te 0.424 0.924 0.849
6 Te 0.576 0.424 0.500
7 Te 0.924 0.076 0.500